The following is a DFT calculation (meta-GGA r2SCAN) of an optimized crystal structure of TlPbF7.

Cell lengths 5.458, 8.789, 11.321 Å; angles 106.20, 90.00, 90.00 degrees
Fractional positions:
F 0.564 0.612 0.909
F 0.754 0.443 0.446
F 0.393 0.810 0.766
F 0.607 0.190 0.234
F 0.539 0.417 0.691
F 0.395 0.219 0.455
F 0.893 0.690 0.734
F 0.467 0.855 0.153
F 0.605 0.781 0.545
F 0.105 0.719 0.955
F 0.461 0.583 0.309
F 0.246 0.557 0.554
F 0.033 0.355 0.653
F 0.332 0.910 0.379
F 0.668 0.090 0.621
F 0.746 0.943 0.946
F 0.436 0.388 0.091
F 0.533 0.145 0.847
F 0.064 0.888 0.591
F 0.967 0.645 0.347
F 0.961 0.917 0.191
F 0.832 0.590 0.121
F 0.039 0.083 0.809
F 0.895 0.281 0.045
F 0.107 0.310 0.266
F 0.254 0.057 0.054
F 0.168 0.410 0.879
F 0.936 0.112 0.409
Pb 0.234 0.227 0.959
Pb 0.766 0.773 0.041
Pb 0.266 0.727 0.459
Pb 0.734 0.273 0.541
Tl 0.262 0.080 0.266
Tl 0.738 0.920 0.734
Tl 0.238 0.580 0.766
Tl 0.762 0.420 0.234

Computed properties:
energy relative to the elements = -1.9901 eV/atom
raw total energy = -16.5841 eV per atom
spin magnetization = 0.00 Bohr magnetons per cell